CsMg30BO31 | GGA-PBE | relaxed

raw total energy: -365.888 eV per formula unit
V: 648.7 Å³/f.u.
formation energy from the elements: -17195.1 kJ/mol of formula units

Cell lengths 8.433, 8.921, 8.622 Å; angles 90.00, 90.00, 90.00 degrees
Fractional positions:
Cs 0.000 0.000 0.000
Mg 0.000 0.000 0.463
Mg 0.000 0.255 0.722
Mg 0.000 0.266 0.232
Mg 0.000 0.500 0.477
Mg 0.000 0.500 0.971
Mg 0.000 0.734 0.232
Mg 0.000 0.745 0.722
Mg 0.245 0.000 0.718
Mg 0.249 0.500 0.723
Mg 0.251 0.251 0.476
Mg 0.251 0.749 0.476
Mg 0.253 0.500 0.227
Mg 0.258 0.267 0.974
Mg 0.258 0.733 0.974
Mg 0.269 0.000 0.241
Mg 0.500 0.000 0.484
Mg 0.500 0.244 0.220
Mg 0.500 0.263 0.727
Mg 0.500 0.500 0.473
Mg 0.500 0.500 0.977
Mg 0.500 0.737 0.727
Mg 0.500 0.756 0.220
Mg 0.731 0.000 0.241
Mg 0.742 0.267 0.974
Mg 0.742 0.733 0.974
Mg 0.747 0.500 0.227
Mg 0.749 0.251 0.476
Mg 0.749 0.749 0.476
Mg 0.751 0.500 0.723
Mg 0.755 0.000 0.718
B 0.500 0.000 0.911
O 0.000 0.000 0.697
O 0.000 0.261 0.477
O 0.000 0.281 0.972
O 0.000 0.500 0.231
O 0.000 0.500 0.719
O 0.000 0.719 0.972
O 0.000 0.739 0.477
O 0.250 0.247 0.728
O 0.250 0.753 0.728
O 0.251 0.249 0.222
O 0.251 0.751 0.222
O 0.252 0.500 0.475
O 0.252 0.500 0.974
O 0.258 0.000 0.483
O 0.342 0.000 0.967
O 0.500 0.000 0.254
O 0.500 0.000 0.740
O 0.500 0.251 0.481
O 0.500 0.275 0.972
O 0.500 0.500 0.230
O 0.500 0.500 0.720
O 0.500 0.725 0.972
O 0.500 0.749 0.481
O 0.658 0.000 0.967
O 0.742 0.000 0.483
O 0.748 0.500 0.475
O 0.748 0.500 0.974
O 0.749 0.249 0.222
O 0.749 0.751 0.222
O 0.750 0.247 0.728
O 0.750 0.753 0.728